First-principles (r2SCAN) data for a relaxed structure of Cs4ZnO3, as listed in Materials Project.

Calculated values
- Space-group type: P2_1/c
- Volume: 852.3 Å³/cell
- ΔE_f: -1.337 eV per atom

a = 7.171 Å, b = 18.659 Å, c = 7.069 Å
α = 90.00°, β = 115.70°, γ = 90.00°
Fractional positions:
Cs1 0.154 0.075 0.155
Cs2 0.154 0.425 0.655
Cs3 0.212 0.696 0.177
Cs4 0.212 0.804 0.677
Cs5 0.293 0.501 0.208
Cs6 0.293 0.999 0.708
Cs7 0.327 0.195 0.784
Cs8 0.327 0.305 0.284
Cs9 0.673 0.695 0.716
Cs10 0.673 0.805 0.216
Cs11 0.707 0.001 0.292
Cs12 0.707 0.499 0.792
Cs13 0.788 0.196 0.323
Cs14 0.788 0.304 0.823
Cs15 0.846 0.575 0.345
Cs16 0.846 0.925 0.845
Zn1 0.286 0.617 0.788
Zn2 0.286 0.883 0.288
Zn3 0.714 0.117 0.712
Zn4 0.714 0.383 0.212
O1 0.039 0.593 0.811
O2 0.039 0.907 0.311
O3 0.309 0.599 0.534
O4 0.309 0.901 0.034
O5 0.493 0.164 0.484
O6 0.493 0.336 0.984
O7 0.507 0.664 0.016
O8 0.507 0.836 0.516
O9 0.691 0.099 0.966
O10 0.691 0.401 0.466
O11 0.961 0.093 0.689
O12 0.961 0.407 0.189